Crystalline Ba2NdMgSbO6 at its relaxed geometry. Source: the Materials Project, functional PBE-GGA.

Cell: 6.212 6.213 7.402 Å, 65.22 65.22 60.01°
Space group P1 (No. 1)
Unique sites:
Ba 0.000 0.000 0.000 (multiplicity 1)
Ba 0.452 0.453 0.643 (multiplicity 1)
Nd 0.185 0.185 0.445 (multiplicity 1)
Mg 0.781 0.782 0.654 (multiplicity 1)
Sb 0.629 0.629 0.114 (multiplicity 1)
O 0.025 0.868 0.682 (multiplicity 1)
O 0.313 0.556 0.259 (multiplicity 1)
O 0.425 0.026 0.682 (multiplicity 1)
O 0.557 0.869 0.262 (multiplicity 1)
O 0.867 0.425 0.682 (multiplicity 1)
O 0.871 0.311 0.260 (multiplicity 1)

Summary:
excess energy over the best structure of this formula in the dataset: 0.000 eV per atom


Crystalline BaTl4 at its relaxed geometry. Source: the Materials Project, functional PBE-GGA.

Cell: 13.094 5.548 10.794 Å, 90.00 119.58 90.00°
Space group C2/m (No. 12)
Unique sites:
Ba 0.183 0.000 0.212 (multiplicity 4)
Tl 0.050 0.500 0.386 (multiplicity 4)
Tl 0.099 0.500 0.955 (multiplicity 4)
Tl 0.116 0.000 0.813 (multiplicity 4)
Tl 0.154 0.000 0.544 (multiplicity 4)


Crystalline LiNd2O6 at its relaxed geometry. Source: the Materials Project, functional PBE-GGA.

Cell: 4.859 4.869 7.706 Å, 73.70 71.74 74.80°
Space group P-1 (No. 2)
Unique sites:
Li 0.000 0.000 0.000 (multiplicity 1)
Nd 0.408 0.398 0.841 (multiplicity 2)
O 0.117 0.605 0.112 (multiplicity 2)
O 0.401 0.418 0.508 (multiplicity 2)
O 0.407 0.878 0.885 (multiplicity 2)

Summary:
excess energy over the best structure of this formula in the dataset: 0.324 eV per atom


Crystalline U2CuGe2O18 at its relaxed geometry. Source: the Materials Project, functional PBE-GGA.

Cell: 16.151 6.953 6.951 Å, 90.00 114.88 90.00°
Space group C2/m (No. 12)
Unique sites:
U 0.245 0.000 0.134 (multiplicity 4)
Cu 0.000 0.000 0.000 (multiplicity 2)
Ge 0.201 0.500 0.284 (multiplicity 4)
O 0.000 0.150 0.500 (multiplicity 4)
O 0.000 0.268 0.000 (multiplicity 4)
O 0.046 0.000 0.433 (multiplicity 4)
O 0.080 0.500 0.220 (multiplicity 4)
O 0.113 0.000 0.994 (multiplicity 4)
O 0.131 0.500 0.742 (multiplicity 4)
O 0.238 0.000 0.439 (multiplicity 4)
O 0.239 0.318 0.162 (multiplicity 8)

Summary:
excess energy over the best structure of this formula in the dataset: 0.162 eV per atom


Crystalline YCu7O12 at its relaxed geometry. Source: the Materials Project, functional PBE-GGA.

Cell: 7.314 7.314 7.314 Å, 90.00 90.00 90.00°
Space group Im-3 (No. 204)
Unique sites:
Y 0.000 0.000 0.000 (multiplicity 2)
Cu 0.000 0.000 0.500 (multiplicity 6)
Cu 0.250 0.250 0.250 (multiplicity 8)
O 0.000 0.169 0.306 (multiplicity 24)


Crystalline Na5GaGe2 at its relaxed geometry. Source: the Materials Project, functional PBE-GGA.

Cell: 5.653 9.298 8.337 Å, 90.00 97.52 90.00°
Space group P2_1/m (No. 11)
Unique sites:
Na 0.067 0.250 0.482 (multiplicity 2)
Na 0.180 0.572 0.884 (multiplicity 4)
Na 0.405 0.576 0.311 (multiplicity 4)
Ga 0.310 0.250 0.094 (multiplicity 2)
Ge 0.068 0.250 0.839 (multiplicity 2)
Ge 0.462 0.750 0.645 (multiplicity 2)


For reference, energy relative to the elements by record: -2.808, -0.243, -1.894, -1.051, -1.254, -0.128 eV/atom.
For reference, ρ by record: 5.068, 9.300, 3.985, 4.562, 6.161, 2.522 g/cm³.